[1]
First-principles (PBE) data for crystalline NdCdPd2 at its relaxed geometry, as listed in Materials Project.

Energy of formation from the pure elements ... -0.64 eV per atom
Total moment ... 0.00 μB/atom

a b c (Å): 4.909 4.909 4.909
angles (deg): 60.00 60.00 60.00
Element x y z (fractional)
Cd1 0.500 0.500 0.500
Pd1 0.750 0.750 0.750
Nd1 0.000 0.000 0.000
Pd2 0.250 0.250 0.250

[2]
First-principles (PBE) data for crystalline MgZn2Co4S8 at its relaxed geometry, as listed in Materials Project.

Energy with MP2020 corrections ... -5.082 eV per atom
Energy of formation from the pure elements ... -0.71 eV per atom
Energy above the most stable polymorph in this dataset ... 0.0 kJ per mole of atoms
Total moment ... 0.13 μB/atom

a b c (Å): 7.114 6.816 6.814
angles (deg): 59.99 61.39 61.37
Element x y z (fractional)
Co1 0.500 0.500 0.000
Zn1 0.061 0.146 0.146
Mg1 0.500 0.000 0.000
Co2 0.500 0.000 0.500
Co3 0.000 0.500 0.500
Zn2 0.939 0.854 0.854
S1 0.263 0.263 0.711
S2 0.679 0.274 0.274
S3 0.321 0.726 0.726
S4 0.737 0.289 0.737
S5 0.737 0.737 0.737
S6 0.737 0.737 0.289
S7 0.263 0.711 0.263
Co4 0.500 0.500 0.500
S8 0.263 0.263 0.263

[3]
First-principles (PBE) data for crystalline TiCoGe2 at its relaxed geometry, as listed in Materials Project.

Energy of formation from the pure elements ... -0.47 eV per atom
Total moment ... 0.05 μB/atom

a b c (Å): 7.742 8.831 9.933
angles (deg): 90.00 90.00 90.00
Element x y z (fractional)
Ti1 0.740 0.169 0.953
Ge1 0.838 0.338 0.181
Ge2 0.000 0.540 0.380
Ti2 0.260 0.331 0.453
Ge3 0.162 0.162 0.681
Co1 0.749 0.908 0.750
Co2 0.256 0.000 0.500
Ge4 0.000 0.633 0.094
Ge5 0.500 0.868 0.599
Ge6 0.500 0.960 0.880
Ge7 0.500 0.368 0.901
Co3 0.749 0.092 0.250
Ti3 0.260 0.169 0.953
Co4 0.744 0.000 0.500
Co5 0.251 0.408 0.750
Ti4 0.740 0.831 0.047
Ti5 0.740 0.331 0.453
Ge8 0.500 0.540 0.380
Ge9 0.000 0.460 0.620
Ti6 0.500 0.334 0.181
Ge10 0.162 0.338 0.181
Co6 0.749 0.592 0.250
Ge11 0.500 0.132 0.401
Ge12 0.838 0.838 0.319
Ge13 0.838 0.162 0.681
Co7 0.256 0.500 0.000
Ti7 0.740 0.669 0.547
Co8 0.251 0.592 0.250
Ge14 0.500 0.460 0.620
Ge15 0.162 0.662 0.819
Co9 0.744 0.500 0.000
Co10 0.251 0.092 0.250
Co11 0.251 0.908 0.750
Ge16 0.000 0.960 0.880
Ge17 0.000 0.367 0.906
Ti8 0.260 0.831 0.047
Ge18 0.500 0.040 0.120
Ti9 0.500 0.834 0.319
Ge19 0.000 0.867 0.594
Ge20 0.000 0.133 0.406
Ti10 0.260 0.669 0.547
Ge21 0.838 0.662 0.819
Ti11 0.500 0.666 0.819
Ge22 0.500 0.632 0.099
Co12 0.749 0.408 0.750
Ti12 0.500 0.166 0.681
Ge23 0.162 0.838 0.319
Ge24 0.000 0.040 0.120

Q: Which of these has the highest energy of formation from the pure elements?
A: TiCoGe2